1.
# Al11Re4 GGA-PBE relaxed
data_Al11Re4
_chemical_formula_sum 'Al11 Re4'
_cell_length_a 5.1783
_cell_length_b 5.1908
_cell_length_c 9.0030
_cell_angle_alpha 105.20
_cell_angle_beta 90.09
_cell_angle_gamma 99.75
_space_group_name_H-M_alt 'P 1'
_space_group_IT_number 1
loop_
_space_group_symop_operation_xyz
'x,y,z'
loop_
_atom_site_label
_atom_site_type_symbol
_atom_site_fract_x
_atom_site_fract_y
_atom_site_fract_z
Al1 Al 0.0629 0.1829 0.3275
Al2 Al 0.0000 0.0000 0.0000
Al3 Al 0.5016 0.0969 0.8710
Al4 Al 0.4303 0.6775 0.6231
Al5 Al 0.8117 0.2757 0.6314
Al6 Al 0.4984 0.9031 0.1290
Al7 Al 0.8548 0.5405 0.1279
Al8 Al 0.1883 0.7243 0.3686
Al9 Al 0.9371 0.8171 0.6725
Al10 Al 0.1452 0.4595 0.8721
Al11 Al 0.5697 0.3225 0.3769
Re1 Re 0.3372 0.3881 0.1319
Re2 Re 0.6628 0.6119 0.8681
Re3 Re 0.2839 0.1537 0.6034
Re4 Re 0.7161 0.8463 0.3966
# - Calculated formation energy: -341.6 meV per atom
# - Space group: P-1, No. 2

---

2.
# Ce4AlCo25 GGA-PBE relaxed
data_Ce4AlCo25
_chemical_formula_sum 'Ce4 Al1 Co25'
_cell_length_a 4.0293
_cell_length_b 4.8100
_cell_length_c 21.0145
_cell_angle_alpha 96.57
_cell_angle_beta 90.00
_cell_angle_gamma 90.00
_space_group_name_H-M_alt 'P 1'
_space_group_IT_number 1
loop_
_space_group_symop_operation_xyz
'x,y,z'
loop_
_atom_site_label
_atom_site_type_symbol
_atom_site_fract_x
_atom_site_fract_y
_atom_site_fract_z
Co1 Co 0.5000 0.5000 0.5000
Co2 Co 0.5000 0.8054 0.0946
Co3 Co 0.5000 0.0000 0.5000
Co4 Co 0.5000 0.7107 0.9054
Co5 Co 0.5000 0.8997 0.2990
Co6 Co 0.0000 0.4700 0.9400
Co7 Co 0.0000 0.7334 0.4668
Co8 Co 0.0000 0.0607 0.1213
Co9 Co 0.5000 0.9011 0.8023
Co10 Co 0.5000 0.1002 0.7010
Co11 Co 0.5000 0.3001 0.6002
Co12 Co 0.5000 0.4998 0.0000
Co13 Co 0.0000 0.9394 0.8787
Co14 Co 0.5000 0.6008 0.7010
Co15 Co 0.0000 0.2666 0.5332
Co16 Co 0.5000 0.1946 0.9054
Co17 Co 0.0000 0.5300 0.0600
Co18 Co 0.5000 0.3992 0.2990
Co19 Co 0.5000 0.0988 0.1977
Co20 Co 0.5000 0.6999 0.3998
Co21 Co 0.5000 0.2892 0.0946
Co22 Co 0.0000 0.8672 0.7344
Co23 Co 0.0000 0.6664 0.3329
Co24 Co 0.0000 0.3335 0.6671
Co25 Co 0.0000 0.1328 0.2656
Ce1 Ce 0.0000 0.4016 0.8034
Ce2 Ce 0.0000 0.5982 0.1966
Ce3 Ce 0.0000 0.8002 0.6005
Ce4 Ce 0.0000 0.1998 0.3995
Al1 Al 0.0000 0.0000 0.0000
# - Calculated formation energy: -60.3 meV per atom
# - Space group: Cmmm, No. 65

---

3.
# ZnCoH18N6Cl5 GGA-PBE relaxed
data_ZnCoH18N6Cl5
_chemical_formula_sum 'Zn4 Co4 H72 N24 Cl20'
_cell_length_a 7.8277
_cell_length_b 8.2772
_cell_length_c 21.6993
_cell_angle_alpha 90.00
_cell_angle_beta 90.00
_cell_angle_gamma 90.00
_space_group_name_H-M_alt 'P 1'
_space_group_IT_number 1
loop_
_space_group_symop_operation_xyz
'x,y,z'
loop_
_atom_site_label
_atom_site_type_symbol
_atom_site_fract_x
_atom_site_fract_y
_atom_site_fract_z
N1 N 0.0723 0.5119 0.8091
N2 N 0.9291 0.2766 0.0911
N3 N 0.9277 0.0119 0.6909
N4 N 0.9277 0.4881 0.1909
N5 N 0.4277 0.9881 0.3091
N6 N 0.4291 0.7234 0.9089
N7 N 0.2500 0.7005 0.3010
N8 N 0.7500 0.5717 0.0844
N9 N 0.9291 0.2234 0.5911
N10 N 0.2500 0.7995 0.8010
N11 N 0.5723 0.4881 0.1909
N12 N 0.2500 0.0717 0.4156
N13 N 0.5723 0.0119 0.6909
N14 N 0.5709 0.2234 0.5911
N15 N 0.7500 0.2995 0.6990
N16 N 0.4277 0.5119 0.8091
N17 N 0.0709 0.7766 0.4089
N18 N 0.4291 0.7766 0.4089
N19 N 0.7500 0.9283 0.5844
N20 N 0.7500 0.2005 0.1990
N21 N 0.5709 0.2766 0.0911
N22 N 0.0709 0.7234 0.9089
N23 N 0.0723 0.9881 0.3091
N24 N 0.2500 0.4283 0.9156
H1 H 0.6449 0.1278 0.1930
H2 H 0.1188 0.4705 0.7676
H3 H 0.3989 0.6589 0.4195
H4 H 0.5505 0.3327 0.0495
H5 H 0.3551 0.8722 0.8070
H6 H 0.8542 0.6454 0.0911
H7 H 0.9551 0.7725 0.3862
H8 H 0.2500 0.0372 0.4613
H9 H 0.0288 0.0893 0.6997
H10 H 0.8812 0.9705 0.7324
H11 H 0.0226 0.4112 0.8309
H12 H 0.3542 0.1454 0.4089
H13 H 0.0505 0.8327 0.4505
H14 H 0.9712 0.5893 0.8003
H15 H 0.8551 0.1278 0.1930
H16 H 0.5449 0.7275 0.8862
H17 H 0.9551 0.7275 0.8862
H18 H 0.4495 0.8327 0.4505
H19 H 0.4774 0.0888 0.3309
H20 H 0.9495 0.1673 0.5495
H21 H 0.6458 0.6454 0.0911
H22 H 0.9774 0.5888 0.1691
H23 H 0.7500 0.2393 0.2441
H24 H 0.5288 0.9107 0.3003
H25 H 0.3812 0.4705 0.7676
H26 H 0.6188 0.9705 0.7324
H27 H 0.4712 0.0893 0.6997
H28 H 0.8989 0.1589 0.0805
H29 H 0.2500 0.7607 0.7559
H30 H 0.3542 0.3546 0.9089
H31 H 0.4774 0.4112 0.8309
H32 H 0.1458 0.3546 0.9089
H33 H 0.5226 0.5888 0.1691
H34 H 0.0288 0.4107 0.1997
H35 H 0.3551 0.6278 0.3070
H36 H 0.4551 0.2725 0.1138
H37 H 0.5449 0.7725 0.3862
H38 H 0.4551 0.2275 0.6138
H39 H 0.4712 0.4107 0.1997
H40 H 0.3812 0.0295 0.2676
H41 H 0.8542 0.8546 0.5911
H42 H 0.2500 0.4628 0.9613
H43 H 0.9495 0.3327 0.0495
H44 H 0.7500 0.2607 0.7441
H45 H 0.3989 0.8411 0.9195
H46 H 0.1188 0.0295 0.2676
H47 H 0.9712 0.9107 0.3003
H48 H 0.6188 0.5295 0.2324
H49 H 0.1458 0.1454 0.4089
H50 H 0.0505 0.6673 0.9505
H51 H 0.7500 0.5372 0.0387
H52 H 0.7500 0.9628 0.5387
H53 H 0.1449 0.6278 0.3070
H54 H 0.0226 0.0888 0.3309
H55 H 0.6011 0.3411 0.5805
H56 H 0.0449 0.2275 0.6138
H57 H 0.6011 0.1589 0.0805
H58 H 0.0449 0.2725 0.1138
H59 H 0.5505 0.1673 0.5495
H60 H 0.6449 0.3722 0.6930
H61 H 0.8551 0.3722 0.6930
H62 H 0.1011 0.6589 0.4195
H63 H 0.6458 0.8546 0.5911
H64 H 0.5288 0.5893 0.8003
H65 H 0.1011 0.8411 0.9195
H66 H 0.8989 0.3411 0.5805
H67 H 0.5226 0.9112 0.6691
H68 H 0.1449 0.8722 0.8070
H69 H 0.4495 0.6673 0.9505
H70 H 0.2500 0.7393 0.2559
H71 H 0.9774 0.9112 0.6691
H72 H 0.8812 0.5295 0.2324
Cl1 Cl 0.7500 0.7616 0.8013
Cl2 Cl 0.2500 0.5905 0.0575
Cl3 Cl 0.7500 0.0905 0.4425
Cl4 Cl 0.2500 0.0358 0.0102
Cl5 Cl 0.0073 0.6267 0.6523
Cl6 Cl 0.2500 0.2616 0.6987
Cl7 Cl 0.9927 0.3733 0.3477
Cl8 Cl 0.2500 0.4642 0.5102
Cl9 Cl 0.9927 0.1267 0.8477
Cl10 Cl 0.2500 0.9095 0.5575
Cl11 Cl 0.4927 0.6267 0.6523
Cl12 Cl 0.0073 0.8733 0.1523
Cl13 Cl 0.7500 0.4095 0.9425
Cl14 Cl 0.7500 0.9642 0.9898
Cl15 Cl 0.7500 0.5358 0.4898
Cl16 Cl 0.2500 0.2384 0.1987
Cl17 Cl 0.4927 0.8733 0.1523
Cl18 Cl 0.7500 0.7384 0.3013
Cl19 Cl 0.5073 0.1267 0.8477
Cl20 Cl 0.5073 0.3733 0.3477
Co1 Co 0.7500 0.1154 0.6407
Co2 Co 0.2500 0.8846 0.3593
Co3 Co 0.2500 0.6154 0.8593
Co4 Co 0.7500 0.3846 0.1407
Zn1 Zn 0.2500 0.6339 0.5915
Zn2 Zn 0.7500 0.3661 0.4085
Zn3 Zn 0.2500 0.8661 0.0915
Zn4 Zn 0.7500 0.1339 0.9085
# - Calculated formation energy: -676.7 meV per atom
# - Space group: Pnma, No. 62

---

4.
# Ba2SmUO6 GGA-PBE relaxed
data_Ba2SmUO6
_chemical_formula_sum 'Ba2 Sm1 U1 O6'
_cell_length_a 6.3030
_cell_length_b 6.3030
_cell_length_c 6.3030
_cell_angle_alpha 60.00
_cell_angle_beta 60.00
_cell_angle_gamma 60.00
_space_group_name_H-M_alt 'P 1'
_space_group_IT_number 1
loop_
_space_group_symop_operation_xyz
'x,y,z'
loop_
_atom_site_label
_atom_site_type_symbol
_atom_site_fract_x
_atom_site_fract_y
_atom_site_fract_z
O1 O 0.7585 0.2415 0.7585
O2 O 0.2415 0.2415 0.7585
O3 O 0.2415 0.7585 0.2415
O4 O 0.7585 0.2415 0.2415
O5 O 0.2415 0.7585 0.7585
O6 O 0.7585 0.7585 0.2415
Ba1 Ba 0.2500 0.2500 0.2500
Ba2 Ba 0.7500 0.7500 0.7500
Sm1 Sm 0.5000 0.5000 0.5000
U1 U 0.0000 0.0000 0.0000
# - Calculated formation energy: -3595.4 meV per atom
# - Space group: Fm-3m, No. 225

---

5.
# Y3Si2Ni6 GGA-PBE relaxed
data_Y3Si2Ni6
_chemical_formula_sum 'Y6 Si4 Ni12'
_cell_length_a 7.6035
_cell_length_b 7.6035
_cell_length_c 7.6035
_cell_angle_alpha 109.47
_cell_angle_beta 109.47
_cell_angle_gamma 109.47
_space_group_name_H-M_alt 'P 1'
_space_group_IT_number 1
loop_
_space_group_symop_operation_xyz
'x,y,z'
loop_
_atom_site_label
_atom_site_type_symbol
_atom_site_fract_x
_atom_site_fract_y
_atom_site_fract_z
Ni1 Ni 0.6698 0.6698 0.3397
Ni2 Ni 0.3397 0.6698 0.6698
Ni3 Ni 0.6698 0.3397 0.6698
Ni4 Ni 0.6603 0.3302 0.3302
Ni5 Ni 0.3302 0.6698 0.0000
Ni6 Ni 0.0000 0.3302 0.6698
Ni7 Ni 0.3302 0.0000 0.6698
Ni8 Ni 0.0000 0.6698 0.3302
Ni9 Ni 0.3302 0.3302 0.6603
Ni10 Ni 0.6698 0.0000 0.3302
Ni11 Ni 0.6698 0.3302 0.0000
Ni12 Ni 0.3302 0.6603 0.3302
Si1 Si 0.0000 0.0000 0.5000
Si2 Si 0.0000 0.5000 0.0000
Si3 Si 0.5000 0.5000 0.5000
Si4 Si 0.5000 0.0000 0.0000
Y1 Y 0.2855 0.2855 0.0000
Y2 Y 0.0000 0.2855 0.2855
Y3 Y 0.7145 0.7145 0.0000
Y4 Y 0.2855 0.0000 0.2855
Y5 Y 0.0000 0.7145 0.7145
Y6 Y 0.7145 0.0000 0.7145
# - Calculated formation energy: -646.6 meV per atom
# - Space group: Im-3m, No. 229

---

6.
# PmN GGA-PBE relaxed
data_PmN
_chemical_formula_sum 'Pm1 N1'
_cell_length_a 3.6166
_cell_length_b 3.6166
_cell_length_c 3.6166
_cell_angle_alpha 60.00
_cell_angle_beta 60.00
_cell_angle_gamma 60.00
_space_group_name_H-M_alt 'P 1'
_space_group_IT_number 1
loop_
_space_group_symop_operation_xyz
'x,y,z'
loop_
_atom_site_label
_atom_site_type_symbol
_atom_site_fract_x
_atom_site_fract_y
_atom_site_fract_z
Pm1 Pm 0.0000 0.0000 0.0000
N1 N 0.5000 0.5000 0.5000
# - Calculated formation energy: -1611.0 meV per atom
# - Space group: Fm-3m, No. 225

---

7.
# Tb2N3 GGA-PBE relaxed
data_Tb2N3
_chemical_formula_sum 'Tb16 N24'
_cell_length_a 9.5547
_cell_length_b 9.5547
_cell_length_c 9.5547
_cell_angle_alpha 109.47
_cell_angle_beta 109.47
_cell_angle_gamma 109.47
_space_group_name_H-M_alt 'P 1'
_space_group_IT_number 1
loop_
_space_group_symop_operation_xyz
'x,y,z'
loop_
_atom_site_label
_atom_site_type_symbol
_atom_site_fract_x
_atom_site_fract_y
_atom_site_fract_z
N1 N 0.9630 0.7328 0.9731
N2 N 0.2402 0.7672 0.7302
N3 N 0.7598 0.2328 0.2698
N4 N 0.2698 0.7598 0.2328
N5 N 0.9899 0.5269 0.2598
N6 N 0.5269 0.2598 0.9899
N7 N 0.5370 0.5101 0.7698
N8 N 0.7302 0.2402 0.7672
N9 N 0.2302 0.4630 0.4899
N10 N 0.0370 0.2672 0.0269
N11 N 0.7698 0.5370 0.5101
N12 N 0.7672 0.7302 0.2402
N13 N 0.7328 0.9731 0.9630
N14 N 0.0101 0.4731 0.7402
N15 N 0.7402 0.0101 0.4731
N16 N 0.2328 0.2698 0.7598
N17 N 0.0269 0.0370 0.2672
N18 N 0.4630 0.4899 0.2302
N19 N 0.4731 0.7402 0.0101
N20 N 0.9731 0.9630 0.7328
N21 N 0.2672 0.0269 0.0370
N22 N 0.5101 0.7698 0.5370
N23 N 0.2598 0.9899 0.5269
N24 N 0.4899 0.2302 0.4630
Tb1 Tb 0.2800 0.2500 0.5300
Tb2 Tb 0.7800 0.2500 0.0300
Tb3 Tb 0.4700 0.7200 0.7500
Tb4 Tb 0.5000 0.5000 0.0000
Tb5 Tb 0.7500 0.4700 0.7200
Tb6 Tb 0.2500 0.5300 0.2800
Tb7 Tb 0.0000 0.0000 0.0000
Tb8 Tb 0.5000 0.0000 0.5000
Tb9 Tb 0.0300 0.7800 0.2500
Tb10 Tb 0.9700 0.2200 0.7500
Tb11 Tb 0.5300 0.2800 0.2500
Tb12 Tb 0.2500 0.0300 0.7800
Tb13 Tb 0.2200 0.7500 0.9700
Tb14 Tb 0.7500 0.9700 0.2200
Tb15 Tb 0.7200 0.7500 0.4700
Tb16 Tb 0.0000 0.5000 0.5000
# - Calculated formation energy: -683.2 meV per atom
# - Space group: Ia-3, No. 206

---

8.
# Sr2MgH8O6 GGA-PBE relaxed
data_Sr2MgH8O6
_chemical_formula_sum 'Sr2 Mg1 H8 O6'
_cell_length_a 3.8646
_cell_length_b 7.8172
_cell_length_c 8.0837
_cell_angle_alpha 81.52
_cell_angle_beta 90.11
_cell_angle_gamma 89.89
_space_group_name_H-M_alt 'P 1'
_space_group_IT_number 1
loop_
_space_group_symop_operation_xyz
'x,y,z'
loop_
_atom_site_label
_atom_site_type_symbol
_atom_site_fract_x
_atom_site_fract_y
_atom_site_fract_z
Sr1 Sr 0.9983 0.2649 0.1203
Sr2 Sr 0.0016 0.7478 0.6486
H1 H 0.7970 0.0537 0.8091
H2 H 0.5004 0.0359 0.5973
H3 H 0.2044 0.0542 0.8090
H4 H 0.4975 0.9815 0.0773
H5 H 0.7922 0.9251 0.2897
H6 H 0.2076 0.9252 0.2900
H7 H 0.5010 0.4978 0.7958
H8 H 0.4974 0.5643 0.0574
O1 O 0.5010 0.9495 0.6998
O2 O 0.0006 0.0970 0.8684
O3 O 0.4966 0.4581 0.0076
O4 O 0.5026 0.5393 0.6709
O5 O 0.0003 0.8688 0.3540
O6 O 0.4992 0.0381 0.1769
Mg1 Mg 0.5022 0.3739 0.5074
# - Calculated formation energy: -1607.0 meV per atom
# - ΔE to the lowest computed polymorph: 23.8 meV per atom
# - Space group: P1, No. 1

---

Question: Which of these has the highest calculated formation energy?
Answer: Ce4AlCo25